# Na3SnPCO7

Crystalline Na3SnPCO7 at its relaxed geometry (PBE, Materials Project).

As for the formation energy: -2.22 eV per atom. The value obtained for the electronic total energy is -6.2529 eV per atom. The energy relative to the lowest polymorph listed for this composition comes out at 14.0 meV/atom.

The space group is P2_1/m (No. 11) and the conventional cell measures 5.496, 7.266 and 9.394 Å, with angles of 90.00, 96.38 and 90.00 degrees. The asymmetric unit holds Na at (0.221, 0.250, 0.094), Na at (0.249, 0.520, 0.725), Sn at (0.259, 0.750, 0.342), P at (0.288, 0.250, 0.405), C at (0.319, 0.750, 0.038), O at (0.100, 0.750, 0.077), O at (0.176, 0.079, 0.319), O at (0.239, 0.250, 0.565), O at (0.356, 0.750, 0.905), O at (0.428, 0.750, 0.598) and O at (0.492, 0.250, 0.861).